Entry from Materials Project: Na6Ti4Ga4Si5S7O48 after structural relaxation (PBE-GGA).

Cell: 8.7307 15.0786 22.3131 Å, 89.90 89.89 89.85°
Last column: nearest neighbours and their distance in Å.
Space group P1 (No. 1)
Inequivalent atoms, fractional coordinates:
Na1 0.0000 0.0000 0.0000 x1  3 O 2.33-2.49
Na2 0.0000 0.6775 0.6771 x1  2 O 2.29-2.38
Na3 0.0013 0.3335 0.3348 x1  5 O 2.35-2.56
Na4 0.0086 0.9960 0.5085 x1  6 O 2.39-2.67
Na5 0.0109 0.3270 0.8395 x1  6 O 2.47-2.57
Na6 0.0178 0.6723 0.1688 x1  5 O 2.42-2.68
Na7 0.1417 0.4952 0.7571 x1  3 O 2.22-2.41
Na8 0.1473 0.1638 0.4306 x1  5 O 2.32-2.54
Na9 0.3737 0.6626 0.9207 x1  6 O 2.35-2.54
Na10 0.3785 0.9971 0.2592 x1  5 O 2.30-2.48
Na11 0.4962 0.1738 0.6705 x1  4 O 2.43-2.55
Na12 0.5026 0.8240 0.3424 x1  6 O 2.39-2.65
Na13 0.5054 0.4971 0.0044 x1  6 O 2.44-2.61
Na14 0.5090 0.8250 0.8303 x1  4 O 2.29-2.56
Na15 0.5192 0.4980 0.5056 x1  6 O 2.48-2.60
Na16 0.5249 0.1791 0.1716 x1  4 O 2.35-2.60
Na17 0.6421 0.9979 0.7525 x1  4 O 2.24-2.43
Na18 0.8653 0.4960 0.2549 x1  4 O 2.30-2.50
Ti1 0.0101 0.6611 0.5252 x1  5 O 1.85-2.03
Ti2 0.0133 0.3236 0.9793 x1  3 O 1.81-1.89
Ti3 0.0215 0.6617 0.0288 x1  4 O 1.82-2.03
Ti4 0.0216 0.9962 0.6534 x1  3 O 1.80-1.93
Ti5 0.0246 0.9956 0.8554 x1  3 O 1.78-1.95
Ti6 0.4901 0.4952 0.3556 x1  3 O 1.80-1.92
Ti7 0.4919 0.4949 0.1527 x1  3 O 1.80-1.90
Ti8 0.4927 0.1605 0.5309 x1  4 O 1.81-1.98
Ti9 0.4995 0.8252 0.4800 x1  4 O 1.82-2.03
Ti10 0.5071 0.1619 0.0234 x1  4 O 1.83-2.03
Ti11 0.5150 0.5060 0.6463 x1  4 O 1.84-2.01
Ti12 0.9940 0.9988 0.1433 x1  3 O 1.78-1.99
Ga1 0.0176 0.9934 0.3589 x1  6 O 1.88-2.09
Ga2 0.0209 0.6637 0.8147 x1  4 O 1.88-2.10
Ga3 0.0300 0.6613 0.3197 x1  2 O 1.80-1.89
Ga4 0.4827 0.1653 0.8180 x1  2 O 1.80-1.88
Ga5 0.4915 0.4990 0.8569 x1  3 O 1.83-2.01
Ga6 0.5118 0.1682 0.3223 x1  4 O 1.86-2.02
Ga7 0.5153 0.8139 0.1810 x1  2 O 1.79-1.80
Ga8 0.5248 0.8194 0.7012 x1  4 O 1.84-1.97
Ga9 0.5270 0.8236 0.9913 x1  2 O 1.82-1.86
Ga10 0.9874 0.3273 0.4967 x1  2 O 1.80-1.85
Ga11 0.9867 0.3296 0.1952 x1  3 O 1.83-1.93
Ga12 0.9937 0.3168 0.6827 x1  2 O 1.80-1.81
Si1 0.1435 0.1830 0.5874 x1  4 O 1.61-1.66
Si2 0.1474 0.5183 0.9184 x1  4 O 1.63-1.66
Si3 0.2065 0.4962 0.2525 x1  4 O 1.62-1.65
Si4 0.2170 0.1587 0.9213 x1  4 O 1.60-1.65
Si5 0.2978 0.6597 0.4207 x1  4 O 1.61-1.65
Si6 0.3078 0.9990 0.7521 x1  4 O 1.60-1.66
Si7 0.3637 0.6405 0.7562 x1  4 O 1.60-1.66
Si8 0.3680 0.0204 0.4170 x1  4 O 1.62-1.67
Si9 0.3684 0.6823 0.0867 x1  4 O 1.62-1.66
Si10 0.6426 0.3480 0.2570 x1  4 O 1.63-1.66
Si11 0.6542 0.6937 0.5880 x1  4 O 1.60-1.66
Si12 0.7098 0.3303 0.5877 x1  4 O 1.62-1.64
Si13 0.7970 0.8274 0.0871 x1  4 O 1.61-1.68
Si14 0.8598 0.1926 0.0889 x1  4 O 1.60-1.68
Si15 0.8715 0.8501 0.7571 x1  4 O 1.61-1.67
S1 0.1480 0.1408 0.2548 x1  4 O 1.46-1.51
S2 0.1512 0.4753 0.5886 x1  4 O 1.48-1.51
S3 0.1524 0.8527 0.2532 x1  4 O 1.47-1.51
S4 0.1569 0.8110 0.9236 x1  4 O 1.48-1.49
S5 0.2179 0.8293 0.5870 x1  4 O 1.45-1.51
S6 0.2941 0.3286 0.0881 x1  4 O 1.46-1.51
S7 0.3581 0.3112 0.4231 x1  4 O 1.47-1.50
S8 0.3611 0.3508 0.7536 x1  4 O 1.46-1.50
S9 0.3635 0.9757 0.0902 x1  4 O 1.47-1.50
S10 0.6474 0.0153 0.9209 x1  4 O 1.47-1.51
S11 0.6485 0.3075 0.9179 x1  4 O 1.48-1.50
S12 0.6504 0.6462 0.2568 x1  4 O 1.48-1.50
S13 0.6524 0.9729 0.5876 x1  4 O 1.47-1.51
S14 0.7212 0.9940 0.2554 x1  4 O 1.49
S15 0.7216 0.6642 0.9204 x1  4 O 1.47-1.53
S16 0.7933 0.4917 0.7553 x1  4 O 1.48-1.51
S17 0.8003 0.1642 0.4196 x1  4 O 1.45-1.51
S18 0.8611 0.4744 0.0879 x1  4 O 1.47-1.50
S19 0.8635 0.1461 0.7572 x1  4 O 1.48-1.49
S20 0.8660 0.5153 0.4210 x1  4 O 1.48-1.50
S21 0.8655 0.8069 0.4180 x1  4 O 1.48-1.51
O1 0.0610 0.0860 0.5939 x1  1 Si 1.64
O2 0.0680 0.4221 0.9315 x1  1 Si 1.63
O3 0.0759 0.7657 0.2578 x1  1 S 1.48
O4 0.0765 0.5592 0.8568 x1  1 Si 1.63
O5 0.0780 0.5655 0.5828 x1  1 S 1.51
O6 0.0798 0.8985 0.9176 x1  1 S 1.49
O7 0.0812 0.2245 0.5237 x1  1 Si 1.64
O8 0.0821 0.2298 0.2499 x1  1 S 1.46
O9 0.0843 0.1017 0.3117 x1  1 S 1.51
O10 0.0867 0.4372 0.6444 x1  1 S 1.48
O11 0.0892 0.5812 0.2587 x1  1 Si 1.64
O12 0.0915 0.7703 0.9783 x1  1 S 1.48
O13 0.0927 0.8983 0.1999 x1  1 S 1.47
O14 0.1053 0.0728 0.9178 x1  1 Si 1.63
O15 0.1058 0.4069 0.2456 x1  1 Si 1.62
O16 0.1072 0.2472 0.9288 x1  1 Si 1.65, 1 Ti 1.81
O17 0.1134 0.0817 0.2035 x1  1 S 1.48
O18 0.1150 0.7500 0.5798 x1  1 S 1.51
O19 0.1163 0.9096 0.5903 x1  1 S 1.50
O20 0.1167 0.5876 0.9744 x1  1 Si 1.65, 1 Ti 1.85
O21 0.1202 0.4212 0.5346 x1  1 S 1.48
O22 0.1276 0.9078 0.3086 x1  1 S 1.51
O23 0.1319 0.2465 0.6453 x1  1 Si 1.61
O24 0.1354 0.7547 0.8696 x1  1 S 1.49
O25 0.1755 0.6410 0.7551 x1  1 Si 1.64
O26 0.1773 0.0130 0.4137 x1  1 Si 1.67
O27 0.1811 0.6677 0.0813 x1  1 Si 1.66, 1 Ti 1.82
O28 0.1840 0.6486 0.4789 x1  1 Si 1.64
O29 0.1899 0.3237 0.4278 x1  1 S 1.48
O30 0.1897 0.3430 0.7507 x1  1 S 1.50
O31 0.1922 0.0190 0.6954 x1  1 Si 1.65, 1 Ti 1.80
O32 0.1945 0.9885 0.0961 x1  1 S 1.49
O33 0.1954 0.9889 0.8116 x1  1 Si 1.66, 1 Ti 1.78
O34 0.2007 0.6853 0.3617 x1  1 Si 1.61, 1 Ga 1.80
O35 0.2016 0.3415 0.0332 x1  1 S 1.48
O36 0.2039 0.3165 0.1425 x1  1 S 1.46
O37 0.3077 0.8168 0.6412 x1  1 S 1.45
O38 0.3102 0.8420 0.5316 x1  1 S 1.49
O39 0.3157 0.1842 0.8634 x1  1 Si 1.60
O40 0.3182 0.1456 0.2572 x1  1 S 1.49
O41 0.3186 0.4863 0.3115 x1  1 Si 1.65, 1 Ti 1.80
O42 0.3190 0.4862 0.5914 x1  1 S 1.48
O43 0.3203 0.5160 0.1954 x1  1 Si 1.64, 1 Ti 1.80
O44 0.3237 0.8449 0.2502 x1  1 S 1.50
O45 0.3259 0.8235 0.9290 x1  1 S 1.49
O46 0.3313 0.1493 0.9800 x1  1 Si 1.65, 1 Ti 1.83
O47 0.3319 0.1683 0.5821 x1  1 Si 1.66, 1 Ti 1.81
O48 0.3366 0.5087 0.9175 x1  1 Si 1.66
O49 0.3754 0.7442 0.1460 x1  1 Si 1.62, 1 Ga 1.79
O50 0.3798 0.2544 0.3685 x1  1 S 1.50
O51 0.3872 0.4037 0.8095 x1  1 S 1.50
O52 0.3895 0.9209 0.0368 x1  1 S 1.47
O53 0.3956 0.4089 0.0917 x1  1 S 1.51
O54 0.3970 0.0900 0.4721 x1  1 Si 1.64
O55 0.3976 0.2494 0.0812 x1  1 S 1.50
O56 0.4038 0.5719 0.7003 x1  1 Si 1.66, 1 Ti 1.84
O57 0.4071 0.7478 0.4288 x1  1 Si 1.65, 1 Ti 1.82
O58 0.4098 0.5726 0.4160 x1  1 Si 1.64
O59 0.4108 0.9121 0.7445 x1  1 Si 1.60
O60 0.4218 0.0851 0.7580 x1  1 Si 1.64
O61 0.4225 0.3922 0.6995 x1  1 S 1.46
O62 0.4241 0.2696 0.4769 x1  1 S 1.47
O63 0.4283 0.9375 0.1464 x1  1 S 1.49
O64 0.4334 0.7383 0.7516 x1  1 Si 1.60
O65 0.4343 0.0661 0.0841 x1  1 S 1.50
O66 0.4342 0.7240 0.0242 x1  1 Si 1.63
O67 0.4351 0.0627 0.3538 x1  1 Si 1.65
O68 0.4355 0.3983 0.4165 x1  1 S 1.49
O69 0.4363 0.2622 0.7584 x1  1 S 1.49
O70 0.4361 0.6017 0.8188 x1  1 Si 1.64, 1 Ga 1.83
O71 0.4457 0.9241 0.4283 x1  1 Si 1.62
O72 0.4517 0.5850 0.0952 x1  1 Si 1.65
O73 0.5622 0.2510 0.2636 x1  1 Si 1.63
O74 0.5672 0.9287 0.9270 x1  1 S 1.49
O75 0.5734 0.4010 0.1979 x1  1 Si 1.66
O76 0.5751 0.7354 0.2526 x1  1 S 1.50
O77 0.5768 0.3967 0.9135 x1  1 S 1.48
O78 0.5768 0.7381 0.5284 x1  1 Si 1.63, 1 Ti 1.83
O79 0.5779 0.5934 0.5942 x1  1 Si 1.66, 1 Ti 1.84
O80 0.5819 0.2646 0.9726 x1  1 S 1.50
O81 0.5841 0.6032 0.3109 x1  1 S 1.49
O82 0.5849 0.9402 0.6440 x1  1 S 1.47
O83 0.5859 0.0645 0.5792 x1  1 S 1.51
O84 0.5903 0.0576 0.8649 x1  1 S 1.49
O85 0.5932 0.4141 0.5987 x1  1 Si 1.64
O86 0.6087 0.2405 0.5751 x1  1 Si 1.64
O87 0.6123 0.0728 0.9746 x1  1 S 1.51
O88 0.6120 0.4156 0.3142 x1  1 Si 1.65, 1 Ti 1.85
O89 0.6117 0.7434 0.9227 x1  1 S 1.53
O90 0.6163 0.9187 0.5346 x1  1 S 1.47
O91 0.6171 0.9160 0.2517 x1  1 S 1.49
O92 0.6252 0.2525 0.8639 x1  1 S 1.48
O93 0.6251 0.5816 0.9188 x1  1 S 1.51
O94 0.6257 0.5916 0.2022 x1  1 S 1.49
O95 0.6267 0.0762 0.2563 x1  1 S 1.49
O96 0.6363 0.7530 0.6468 x1  1 Si 1.60
O97 0.6758 0.1758 0.0769 x1  1 Si 1.65
O98 0.6870 0.8514 0.7541 x1  1 Si 1.61
O99 0.6921 0.4825 0.0929 x1  1 S 1.49
O100 0.6949 0.1553 0.7636 x1  1 S 1.48
O101 0.6967 0.4976 0.7008 x1  1 S 1.48
O102 0.6978 0.5065 0.4190 x1  1 S 1.48
O103 0.6979 0.8183 0.4243 x1  1 S 1.48
O104 0.6994 0.8590 0.0297 x1  1 Si 1.61
O105 0.7007 0.4762 0.8101 x1  1 S 1.48
O106 0.7047 0.8125 0.1493 x1  1 Si 1.62, 1 Ga 1.80
O107 0.7064 0.1552 0.4729 x1  1 S 1.45
O108 0.7101 0.1784 0.3634 x1  1 S 1.50
O109 0.8067 0.3601 0.5286 x1  1 Si 1.63, 1 Ga 1.80
O110 0.8088 0.3100 0.6474 x1  1 Si 1.62, 1 Ga 1.80
O111 0.8128 0.6762 0.8653 x1  1 S 1.47
O112 0.8138 0.6603 0.9752 x1  1 S 1.47
O113 0.8152 0.0061 0.9199 x1  1 S 1.47
O114 0.8169 0.3174 0.9252 x1  1 S 1.49
O115 0.8170 0.9837 0.3102 x1  1 S 1.49
O116 0.8185 0.6557 0.2631 x1  1 S 1.48
O117 0.8202 0.0008 0.2012 x1  1 S 1.49
O118 0.8212 0.9819 0.5915 x1  1 S 1.48
O119 0.8293 0.3447 0.2541 x1  1 Si 1.63
O120 0.8383 0.6762 0.5743 x1  1 Si 1.66
O121 0.8839 0.5744 0.7573 x1  1 S 1.48
O122 0.8845 0.2484 0.1491 x1  1 Si 1.60
O123 0.8880 0.0918 0.7024 x1  1 S 1.49
O124 0.8909 0.7535 0.3630 x1  1 S 1.48
O125 0.8969 0.4181 0.0362 x1  1 S 1.47
O126 0.8976 0.0814 0.4140 x1  1 S 1.51
O127 0.9015 0.5725 0.4737 x1  1 S 1.49
O128 0.9027 0.7402 0.0772 x1  1 Si 1.62
O129 0.9042 0.4147 0.7500 x1  1 S 1.51
O130 0.9052 0.9176 0.8145 x1  1 Si 1.66, 1 Ti 1.82
O131 0.9073 0.2422 0.4225 x1  1 S 1.50
O132 0.9146 0.9142 0.0972 x1  1 Si 1.68, 1 Ti 1.78
O133 0.9231 0.5564 0.3639 x1  1 S 1.50
O134 0.9270 0.5647 0.0802 x1  1 S 1.49
O135 0.9288 0.4415 0.1454 x1  1 S 1.50
O136 0.9298 0.1032 0.8113 x1  1 S 1.49
O137 0.9332 0.7652 0.4718 x1  1 S 1.48
O138 0.9366 0.0912 0.0966 x1  1 Si 1.68, 1 Ti 1.81
O139 0.9371 0.8975 0.4136 x1  1 S 1.51
O140 0.9376 0.2349 0.7530 x1  1 S 1.49
O141 0.9376 0.2364 0.0300 x1  1 Si 1.62
O142 0.9441 0.7524 0.7637 x1  1 Si 1.61
O143 0.9454 0.4280 0.4262 x1  1 S 1.49
O144 0.9446 0.9031 0.6981 x1  1 Si 1.67, 1 Ti 1.85

Output
ΔE_f = -183.90 eV per formula unit
Size of the total moment = 0.00 μB/f.u.
Corrected total energy (MP2020 scheme) = -529.11 eV per formula unit